VASP calculation (GGA-PBE) on SrH2 after structural relaxation.

As for the calculated volume: 168.1 Å³ per cell.

Geometry as CIF:
```
data_SrH2
_cell_length_a 4.091
_cell_length_b 7.171
_cell_length_c 5.731
_cell_angle_alpha 90.00
_cell_angle_beta 90.00
_cell_angle_gamma 90.00
_symmetry_space_group_name_H-M 'C m c m'
_symmetry_Int_Tables_number 63
_symmetry_space_group_name_Hall '-C 2c 2'
loop_
_atom_site_label
_atom_site_type_symbol
_atom_site_fract_x
_atom_site_fract_y
_atom_site_fract_z
Sr1 Sr 0.000 0.162 0.250
H1 H 0.000 0.168 0.750
H2 H 0.000 0.500 0.000
```


VASP calculation (GGA-PBE) on Li3Sb17S27 after structural relaxation.

As for the calculated volume: 1160.4 Å³ per cell.

Geometry as CIF:
```
data_Li3Sb17S27
_cell_length_a 8.840
_cell_length_b 8.849
_cell_length_c 15.493
_cell_angle_alpha 103.86
_cell_angle_beta 95.38
_cell_angle_gamma 96.32
_symmetry_space_group_name_H-M 'P 1'
_symmetry_Int_Tables_number 1
loop_
_symmetry_equiv_pos_as_xyz
'x,y,z'
loop_
_atom_site_label
_atom_site_type_symbol
_atom_site_fract_x
_atom_site_fract_y
_atom_site_fract_z
Li1 Li 0.000 0.000 0.000
Li2 Li 0.332 0.338 0.004
Li3 Li 0.666 0.666 0.000
Sb1 Sb 0.034 0.556 0.884
Sb2 Sb 0.051 0.173 0.306
Sb3 Sb 0.123 0.831 0.427
Sb4 Sb 0.217 0.499 0.566
Sb5 Sb 0.291 0.762 0.116
Sb6 Sb 0.299 0.163 0.686
Sb7 Sb 0.370 0.891 0.886
Sb8 Sb 0.448 0.161 0.420
Sb9 Sb 0.544 0.827 0.566
Sb10 Sb 0.617 0.120 0.109
Sb11 Sb 0.632 0.487 0.681
Sb12 Sb 0.699 0.822 0.306
Sb13 Sb 0.701 0.227 0.885
Sb14 Sb 0.787 0.500 0.419
Sb15 Sb 0.875 0.170 0.568
Sb16 Sb 0.960 0.825 0.685
Sb17 Sb 0.979 0.449 0.116
S1 S 0.002 0.138 0.720
S2 S 0.006 0.297 0.961
S3 S 0.056 0.846 0.851
S4 S 0.063 0.520 0.378
S5 S 0.158 0.171 0.500
S6 S 0.261 0.817 0.623
S7 S 0.269 0.497 0.152
S8 S 0.321 0.047 0.033
S9 S 0.321 0.182 0.273
S10 S 0.333 0.471 0.721
S11 S 0.344 0.635 0.961
S12 S 0.385 0.183 0.849
S13 S 0.400 0.856 0.379
S14 S 0.489 0.515 0.509
S15 S 0.597 0.160 0.629
S16 S 0.603 0.816 0.146
S17 S 0.641 0.366 0.034
S18 S 0.668 0.530 0.273
S19 S 0.673 0.809 0.722
S20 S 0.677 0.963 0.965
S21 S 0.723 0.511 0.852
S22 S 0.725 0.190 0.372
S23 S 0.829 0.839 0.502
S24 S 0.921 0.484 0.629
S25 S 0.947 0.160 0.146
S26 S 0.984 0.706 0.033
S27 S 0.993 0.859 0.275
```


VASP calculation (GGA-PBE) on ZnH9C4N3O6 after structural relaxation.

As for the calculated volume: 917.0 Å³ per cell.

Geometry as CIF:
```
data_ZnH9C4N3O6
_cell_length_a 8.567
_cell_length_b 11.920
_cell_length_c 8.980
_cell_angle_alpha 90.00
_cell_angle_beta 90.00
_cell_angle_gamma 90.00
_symmetry_space_group_name_H-M 'P n n a'
_symmetry_Int_Tables_number 52
loop_
_symmetry_equiv_pos_as_xyz
'x,y,z'
'-x,-y,-z'
'-x+1/2,-y,z'
'x+1/2,y,-z'
'x,-y+1/2,-z+1/2'
'-x,y+1/2,z+1/2'
'-x+1/2,y+1/2,-z+1/2'
'x+1/2,-y+1/2,z+1/2'
loop_
_atom_site_label
_atom_site_type_symbol
_atom_site_fract_x
_atom_site_fract_y
_atom_site_fract_z
Zn1 Zn 0.246 0.250 0.250
H1 H 0.086 0.124 0.740
H2 H 0.090 0.714 0.928
H3 H 0.168 0.077 0.569
H4 H 0.186 0.059 0.962
H5 H 0.250 0.000 0.176
C1 C 0.018 0.722 0.513
C2 C 0.250 0.000 0.299
C3 C 0.250 0.000 0.757
N1 N 0.160 0.073 0.682
N2 N 0.250 0.000 0.905
O1 O 0.060 0.692 0.384
O2 O 0.102 0.184 0.078
O3 O 0.241 0.094 0.366
```


Here are the calculated energy with MP2020 corrections numbers, same order: -3.4335, -4.6243, -6.2696 (eV/atom).
Here are the calculated mass density numbers, same order: 3.5, 4.2, 1.9 (g/cm³).
Here are the calculated energy of formation from the pure elements numbers, same order: -608, -633, -904 (meV per atom).